# SmNiO3

An optimized crystal structure of SmNiO3 (GGA+U, the Materials Project).

Cell: 3.7940 3.7940 3.7940 Å, 90.00 90.00 90.00°
Space group Pm-3m (No. 221)
Asymmetric unit:
Sm (0.0000, 0.0000, 0.0000) x1
Ni (0.5000, 0.5000, 0.5000) x1
O (0.0000, 0.5000, 0.5000) x3

DFT formation energy	-2.33	eV per atom
DFT total energy	-6.479	eV/atom

---

# CaMn3V4O12

An optimized crystal structure of CaMn3V4O12 (GGA+U, the Materials Project).

Cell: 7.5122 7.5550 7.5612 Å, 90.14 90.23 90.07°
Space group P1 (No. 1)
Asymmetric unit:
Ca (0.0000, 0.0000, 0.0000) x1
Ca (0.4986, 0.5000, 0.4988) x1
Mn (0.0009, 0.9988, 0.4994) x1
Mn (0.4979, 0.5007, 0.9992) x1
Mn (0.4992, 0.0001, 0.0001) x1
Mn (0.5045, 0.0001, 0.5004) x1
Mn (0.9906, 0.5001, 0.9990) x1
Mn (0.9994, 0.4998, 0.4976) x1
V (0.2484, 0.2504, 0.7495) x1
V (0.2492, 0.2498, 0.2494) x1
V (0.2491, 0.7499, 0.7495) x1
V (0.2497, 0.7500, 0.2496) x1
V (0.7494, 0.2498, 0.2495) x1
V (0.7491, 0.2497, 0.7491) x1
V (0.7494, 0.7502, 0.7494) x1
V (0.7498, 0.7499, 0.2497) x1
O (0.0036, 0.2936, 0.1889) x1
O (0.0067, 0.7066, 0.1927) x1
O (0.1879, 0.9994, 0.2948) x1
O (0.1975, 0.0076, 0.7059) x1
O (0.2007, 0.3101, 0.4997) x1
O (0.2025, 0.6955, 0.5080) x1
O (0.2970, 0.8041, 0.9912) x1
O (0.2979, 0.1898, 0.9992) x1
O (0.3022, 0.4921, 0.7917) x1
O (0.3111, 0.5003, 0.2041) x1
O (0.4913, 0.7947, 0.3085) x1
O (0.4945, 0.2047, 0.3108) x1
O (0.5042, 0.7931, 0.6877) x1
O (0.5074, 0.2064, 0.6919) x1
O (0.6913, 0.4996, 0.7991) x1
O (0.6970, 0.5080, 0.2048) x1
O (0.7014, 0.8114, 0.0000) x1
O (0.7033, 0.1938, 0.0083) x1
O (0.7946, 0.3059, 0.4907) x1
O (0.7972, 0.6887, 0.4992) x1
O (0.8010, 0.9922, 0.2950) x1
O (0.8086, 0.0004, 0.7002) x1
O (0.9919, 0.2927, 0.8062) x1
O (0.9951, 0.7081, 0.8107) x1

distance to the lowest polymorph of the same formula	0	meV/atom
DFT formation energy	-2.45	eV per atom
DFT total energy	-7.705	eV/atom

---

# FeOF

An optimized crystal structure of FeOF (GGA+U, the Materials Project).

Cell: 14.2163 3.0967 14.2405 Å, 90.00 90.35 90.00°
Space group Pm (No. 6)
Asymmetric unit:
Fe (0.0000, 0.0000, 0.0000) x1
Fe (0.0008, 0.0000, 0.6478) x1
Fe (0.1686, 0.5000, 0.1430) x1
Fe (0.1694, 0.5000, 0.5036) x1
Fe (0.1843, 0.5000, 0.8240) x1
Fe (0.3228, 0.0000, 0.6546) x1
Fe (0.3247, 0.0000, 0.9925) x1
Fe (0.3457, 0.0000, 0.3222) x1
Fe (0.5012, 0.5000, 0.4773) x1
Fe (0.5020, 0.5000, 0.1721) x1
Fe (0.5150, 0.5000, 0.8219) x1
Fe (0.6577, 0.0000, 0.3248) x1
Fe (0.6663, 0.0000, 0.9827) x1
Fe (0.6684, 0.0000, 0.6677) x1
Fe (0.8442, 0.5000, 0.7999) x1
Fe (0.8498, 0.5000, 0.4898) x1
Fe (0.8509, 0.5000, 0.1579) x1
Fe (0.9931, 0.0000, 0.3251) x1
O (0.0690, 0.5000, 0.5889) x1
O (0.1053, 0.0000, 0.0895) x1
O (0.2364, 0.0000, 0.8898) x1
O (0.2407, 0.0000, 0.5476) x1
O (0.2741, 0.5000, 0.7201) x1
O (0.2783, 0.5000, 0.0600) x1
O (0.3973, 0.5000, 0.2558) x1
O (0.4356, 0.0000, 0.4264) x1
O (0.5710, 0.0000, 0.2163) x1
O (0.5719, 0.0000, 0.8900) x1
O (0.6005, 0.5000, 0.7182) x1
O (0.6061, 0.5000, 0.3882) x1
O (0.7705, 0.0000, 0.7580) x1
O (0.8946, 0.0000, 0.5543) x1
O (0.9029, 0.0000, 0.2183) x1
O (0.9327, 0.5000, 0.0490) x1
O (0.9397, 0.5000, 0.3856) x1
O (0.9464, 0.5000, 0.7204) x1
F (0.0654, 0.5000, 0.9215) x1
F (0.0723, 0.5000, 0.2579) x1
F (0.1074, 0.0000, 0.4184) x1
F (0.1088, 0.0000, 0.7619) x1
F (0.2314, 0.0000, 0.2245) x1
F (0.2681, 0.5000, 0.3831) x1
F (0.4054, 0.5000, 0.9226) x1
F (0.4088, 0.5000, 0.5948) x1
F (0.4394, 0.0000, 0.7606) x1
F (0.4457, 0.0000, 0.0847) x1
F (0.5695, 0.0000, 0.5537) x1
F (0.6074, 0.5000, 0.0520) x1
F (0.7284, 0.5000, 0.5860) x1
F (0.7358, 0.5000, 0.2547) x1
F (0.7383, 0.5000, 0.9293) x1
F (0.7640, 0.0000, 0.0882) x1
F (0.7707, 0.0000, 0.4187) x1
F (0.9019, 0.0000, 0.8866) x1

DFT formation energy	-2.04	eV per atom
DFT total energy	-6.015	eV/atom